Density functional theory data (PBE) for Cs5Re6S8Cl7 after structural relaxation.

The total moment is 0.163 μB/cell. The energy of formation from the pure elements comes out at -1481 meV per atom. For the electronic total energy, the calculation gives -932.1 eV/cell.

The structure belongs to space group R3c (No. 161, hexagonal axes); the cell edges are 10.0699, 10.0699 and 55.1473 Å and the angles 90.00°, 90.00° and 120.00°. Symmetry generates all atoms from Cs at (0.0000, 0.0000, 0.0000), Cs at (0.0000, 0.0000, 0.1748), Cs at (0.9999, 0.3109, 0.0863), Re at (0.0199, 0.1592, 0.8561), Re at (0.1591, 0.0196, 0.3172), S at (0.0000, 0.0000, 0.2828), S at (0.0000, 0.0000, 0.3905), S at (0.0360, 0.2941, 0.8187), S at (0.0753, 0.3727, 0.0211), Cl at (0.0000, 0.0000, 0.0666), Cl at (0.0119, 0.2962, 0.9580) and Cl at (0.0529, 0.3708, 0.8818).


Density functional theory data (PBE) for Ba5Gd8Zn4O21 after structural relaxation.

The total moment is 111.634 μB/cell. The energy of formation from the pure elements comes out at -3191 meV per atom. For the electronic total energy, the calculation gives -676.0 eV/cell.

The structure belongs to space group I4/m (No. 87); the cell edges are 14.050, 14.050 and 5.816 Å and the angles 90.00°, 90.00° and 90.00°. Symmetry generates all atoms from Ba at (0.000, 0.000, 0.000), Ba at (0.033, 0.362, 0.500), Gd at (0.089, 0.857, 0.500), Gd at (0.167, 0.247, 0.000), Zn at (0.041, 0.748, 0.000), O at (0.000, 0.000, 0.500), O at (0.035, 0.374, 0.000), O at (0.047, 0.179, 0.248) and O at (0.148, 0.741, 0.246).